--- P ---
This record from Materials Project describes Li4TiCo5O12 after structural relaxation. The functional is GGA+U.

```
data_Li4TiCo5O12
_chemical_formula_sum 'Li8 Ti2 Co10 O24'
_symmetry_space_group_name_H-M 'P 1'
_symmetry_Int_Tables_number 1
_cell_length_a 4.938
_cell_length_b 19.981
_cell_length_c 4.959
_cell_angle_alpha 93.90
_cell_angle_beta 119.85
_cell_angle_gamma 94.08
loop_
_symmetry_equiv_pos_as_xyz
'x,y,z'
loop_
_atom_site_label
_atom_site_fract_x
_atom_site_fract_y
_atom_site_fract_z
Li1 0.566 0.373 0.244
Li2 0.564 0.872 0.237
Li3 0.763 0.126 0.426
Li4 0.756 0.629 0.451
Li5 0.220 0.371 0.590
Li6 0.217 0.870 0.573
Li7 0.426 0.129 0.781
Li8 0.421 0.631 0.795
Ti1 0.001 0.999 0.005
Ti2 0.021 0.501 0.999
Co1 0.826 0.751 0.172
Co2 0.158 0.250 0.847
Co3 0.157 0.751 0.841
Co4 0.677 0.999 0.320
Co5 0.683 0.501 0.310
Co6 0.491 0.250 0.514
Co7 0.491 0.750 0.507
Co8 0.825 0.250 0.179
Co9 0.343 0.999 0.654
Co10 0.350 0.501 0.645
O1 0.193 0.299 0.218
O2 0.198 0.801 0.212
O3 0.787 0.200 0.813
O4 0.784 0.700 0.801
O5 0.386 0.052 0.361
O6 0.390 0.557 0.334
O7 0.647 0.449 0.605
O8 0.634 0.947 0.613
O9 0.724 0.056 0.044
O10 0.716 0.556 0.020
O11 0.968 0.444 0.275
O12 0.952 0.940 0.274
O13 0.041 0.050 0.678
O14 0.043 0.554 0.667
O15 0.324 0.446 0.960
O16 0.320 0.947 0.958
O17 0.474 0.197 0.137
O18 0.469 0.701 0.149
O19 0.115 0.198 0.489
O20 0.133 0.701 0.486
O21 0.866 0.302 0.531
O22 0.849 0.800 0.527
O23 0.518 0.302 0.892
O24 0.513 0.800 0.863
```

--- Q ---
This record from Materials Project describes Li4TiCo5O12 after structural relaxation. The functional is GGA+U.

```
data_Li4TiCo5O12
_chemical_formula_sum 'Li8 Ti2 Co10 O24'
_symmetry_space_group_name_H-M 'P 1'
_symmetry_Int_Tables_number 1
_cell_length_a 4.916
_cell_length_b 10.796
_cell_length_c 8.524
_cell_angle_alpha 113.50
_cell_angle_beta 89.71
_cell_angle_gamma 85.70
loop_
_symmetry_equiv_pos_as_xyz
'x,y,z'
loop_
_atom_site_label
_atom_site_fract_x
_atom_site_fract_y
_atom_site_fract_z
Li1 0.038 0.741 0.204
Li2 0.535 0.745 0.706
Li3 0.462 0.256 0.960
Li4 0.963 0.259 0.462
Li5 0.537 0.745 0.037
Li6 0.044 0.744 0.540
Li7 0.964 0.255 0.792
Li8 0.463 0.256 0.294
Ti1 0.987 0.007 0.002
Ti2 0.497 0.993 0.501
Co1 0.250 0.500 0.915
Co2 0.750 0.500 0.415
Co3 0.750 0.500 0.085
Co4 0.250 0.500 0.585
Co5 0.004 0.999 0.667
Co6 0.498 0.001 0.166
Co7 0.499 0.000 0.833
Co8 0.002 0.000 0.333
Co9 0.750 0.500 0.750
Co10 0.250 0.500 0.250
O1 0.403 0.602 0.803
O2 0.903 0.602 0.303
O3 0.597 0.399 0.201
O4 0.097 0.398 0.701
O5 0.827 0.105 0.553
O6 0.321 0.107 0.053
O7 0.192 0.884 0.453
O8 0.674 0.892 0.945
O9 0.312 0.108 0.726
O10 0.799 0.115 0.218
O11 0.187 0.894 0.118
O12 0.695 0.892 0.618
O13 0.809 0.109 0.880
O14 0.312 0.107 0.384
O15 0.689 0.894 0.274
O16 0.190 0.894 0.778
O17 0.106 0.399 0.027
O18 0.606 0.399 0.528
O19 0.600 0.399 0.869
O20 0.101 0.399 0.369
O21 0.394 0.601 0.129
O22 0.894 0.601 0.629
O23 0.900 0.601 0.970
O24 0.400 0.601 0.471
```

--- R ---
This record from Materials Project describes Li4TiCo5O12 after structural relaxation. The functional is GGA+U.

```
data_Li4TiCo5O12
_chemical_formula_sum 'Li8 Ti2 Co10 O24'
_symmetry_space_group_name_H-M 'P 1'
_symmetry_Int_Tables_number 1
_cell_length_a 4.928
_cell_length_b 10.776
_cell_length_c 8.524
_cell_angle_alpha 113.27
_cell_angle_beta 90.01
_cell_angle_gamma 85.51
loop_
_symmetry_equiv_pos_as_xyz
'x,y,z'
loop_
_atom_site_label
_atom_site_fract_x
_atom_site_fract_y
_atom_site_fract_z
Li1 0.040 0.744 0.207
Li2 0.536 0.745 0.706
Li3 0.463 0.256 0.962
Li4 0.961 0.255 0.461
Li5 0.537 0.744 0.039
Li6 0.035 0.740 0.536
Li7 0.966 0.259 0.796
Li8 0.463 0.257 0.294
Ti1 0.999 0.001 0.006
Ti2 0.500 0.999 0.499
Co1 0.250 0.500 0.915
Co2 0.750 0.500 0.415
Co3 0.750 0.500 0.085
Co4 0.250 0.500 0.585
Co5 0.000 0.000 0.668
Co6 0.500 0.000 0.167
Co7 0.500 0.000 0.835
Co8 0.000 0.000 0.331
Co9 0.750 0.500 0.750
Co10 0.250 0.500 0.249
O1 0.404 0.601 0.799
O2 0.904 0.602 0.299
O3 0.597 0.399 0.197
O4 0.096 0.398 0.697
O5 0.821 0.108 0.548
O6 0.323 0.108 0.055
O7 0.179 0.890 0.439
O8 0.676 0.893 0.947
O9 0.325 0.111 0.726
O10 0.808 0.109 0.226
O11 0.191 0.892 0.117
O12 0.675 0.889 0.615
O13 0.808 0.108 0.888
O14 0.308 0.107 0.381
O15 0.691 0.893 0.274
O16 0.192 0.892 0.780
O17 0.100 0.399 0.030
O18 0.600 0.399 0.530
O19 0.606 0.399 0.871
O20 0.105 0.399 0.371
O21 0.400 0.601 0.130
O22 0.900 0.601 0.631
O23 0.895 0.601 0.972
O24 0.394 0.601 0.472
```

We find Q to be the most stable, with the next structure 13 meV per atom higher.

--- P ---
This record from Materials Project describes Li4Ti3V3Co2O16 after structural relaxation. The functional is GGA+U.

```
data_Li4Ti3V3Co2O16
_chemical_formula_sum 'Li4 Ti3 V3 Co2 O16'
_symmetry_space_group_name_H-M 'P 1'
_symmetry_Int_Tables_number 1
_cell_length_a 5.851
_cell_length_b 5.853
_cell_length_c 9.721
_cell_angle_alpha 90.10
_cell_angle_beta 89.57
_cell_angle_gamma 119.89
loop_
_symmetry_equiv_pos_as_xyz
'x,y,z'
loop_
_atom_site_label
_atom_site_fract_x
_atom_site_fract_y
_atom_site_fract_z
Li1 0.335 0.668 0.890
Li2 0.998 0.999 0.997
Li3 0.994 0.998 0.500
Li4 0.668 0.334 0.391
Ti1 0.172 0.833 0.216
Ti2 0.172 0.339 0.216
Ti3 0.338 0.166 0.720
V1 0.664 0.832 0.213
V2 0.836 0.181 0.712
V3 0.833 0.655 0.713
Co1 0.340 0.669 0.492
Co2 0.670 0.334 0.992
O1 0.151 0.830 0.606
O2 0.034 0.518 0.331
O3 0.333 0.666 0.103
O4 0.999 0.000 0.316
O5 0.994 0.998 0.813
O6 0.154 0.322 0.606
O7 0.486 0.964 0.331
O8 0.487 0.523 0.331
O9 0.322 0.160 0.105
O10 0.679 0.842 0.610
O11 0.525 0.488 0.829
O12 0.521 0.037 0.830
O13 0.664 0.332 0.601
O14 0.833 0.679 0.106
O15 0.967 0.480 0.833
O16 0.833 0.153 0.106
```

--- Q ---
This record from Materials Project describes Li4Ti3V3Co2O16 after structural relaxation. The functional is GGA+U.

```
data_Li4Ti3V3Co2O16
_chemical_formula_sum 'Li4 Ti3 V3 Co2 O16'
_symmetry_space_group_name_H-M 'P 1'
_symmetry_Int_Tables_number 1
_cell_length_a 5.896
_cell_length_b 5.924
_cell_length_c 9.782
_cell_angle_alpha 90.06
_cell_angle_beta 90.06
_cell_angle_gamma 119.56
loop_
_symmetry_equiv_pos_as_xyz
'x,y,z'
loop_
_atom_site_label
_atom_site_fract_x
_atom_site_fract_y
_atom_site_fract_z
Li1 0.334 0.667 0.107
Li2 0.999 0.005 0.003
Li3 0.997 0.993 0.501
Li4 0.668 0.334 0.606
Ti1 0.182 0.340 0.786
Ti2 0.172 0.829 0.779
Ti3 0.341 0.179 0.282
V1 0.668 0.835 0.790
V2 0.842 0.661 0.286
V3 0.826 0.161 0.287
Co1 0.331 0.668 0.509
Co2 0.666 0.333 0.005
O1 0.144 0.312 0.392
O2 0.034 0.523 0.672
O3 0.329 0.669 0.896
O4 0.002 0.002 0.686
O5 0.001 0.997 0.186
O6 0.164 0.842 0.394
O7 0.476 0.512 0.668
O8 0.491 0.965 0.674
O9 0.317 0.160 0.895
O10 0.682 0.828 0.390
O11 0.530 0.035 0.174
O12 0.506 0.472 0.168
O13 0.662 0.331 0.397
O14 0.843 0.164 0.894
O15 0.963 0.493 0.171
O16 0.830 0.687 0.892
```

We find Q to be the most stable, with the next structure 36 meV per atom higher.